No. 1
The following is a PBE with a Hubbard U calculation of Ni2Mo3O8 after structural relaxation, from Materials Project.

Unit cell a=5.8386 b=5.8386 c=10.0344 alpha=90.00 beta=90.00 gamma=120.00
Space group P6_3mc (No. 186)
Symmetry-distinct sites (fractional):
Ni 0.3333 0.6667 0.0000 [2 per cell]
Ni 0.3333 0.6667 0.4343 [2 per cell]
Mo 0.1461 0.2921 0.6980 [6 per cell]
O 0.0000 0.0000 0.0547 [2 per cell]
O 0.0235 0.5118 0.5811 [6 per cell]
O 0.1689 0.3378 0.3147 [6 per cell]
O 0.3333 0.6667 0.8014 [2 per cell]

Results
Total magnetization (μB per atom): 0.308
Crystal system: hexagonal

No. 2
The following is a PBE with a Hubbard U calculation of Li2MnP2O7 after structural relaxation, from Materials Project.

Unit cell a=7.3422 b=12.7352 c=11.6382 alpha=90.00 beta=91.88 gamma=90.00
Space group C2/c (No. 15)
Symmetry-distinct sites (fractional):
Li 0.0000 0.2107 0.2500 [4 per cell]
Li 0.0000 0.2288 0.7500 [4 per cell]
Li 0.0273 0.2191 0.5087 [8 per cell]
Mn 0.1758 0.0018 0.1192 [8 per cell]
P 0.1713 0.4002 0.6217 [8 per cell]
P 0.2145 0.3792 0.1352 [8 per cell]
O 0.0118 0.3257 0.6281 [8 per cell]
O 0.0795 0.4821 0.1233 [8 per cell]
O 0.0946 0.2839 0.1168 [8 per cell]
O 0.1378 0.0997 0.9552 [8 per cell]
O 0.1895 0.1005 0.2755 [8 per cell]
O 0.1986 0.1215 0.7426 [8 per cell]
O 0.2318 0.1143 0.4929 [8 per cell]

Results
ΔE to the lowest computed polymorph (meV/atom): 62.2
Total magnetization (μB per atom): 0.417
Crystal system: monoclinic

No. 3
The following is a PBE with a Hubbard U calculation of LiVF4 after structural relaxation, from Materials Project.

Unit cell a=6.5213 b=6.8182 c=3.1185 alpha=90.00 beta=90.00 gamma=90.00
Space group Cmmm (No. 65)
Symmetry-distinct sites (fractional):
Li 0.0000 0.0000 0.0000 [2 per cell]
V 0.0000 0.5000 0.5000 [2 per cell]
F 0.0000 0.3106 0.0000 [4 per cell]
F 0.2065 0.0000 0.5000 [4 per cell]

Results
ΔE to the lowest computed polymorph (meV/atom): 8.0
Crystal system: orthorhombic

No. 4
The following is a PBE with a Hubbard U calculation of Li4Co3Cu3Te2O16 after structural relaxation, from Materials Project.

Unit cell a=5.7550 b=5.8803 c=9.5913 alpha=93.52 beta=90.19 gamma=118.53
Space group P1 (No. 1)
Symmetry-distinct sites (fractional):
Li 0.0000 0.0000 0.0000 [1 per cell]
Li 0.0054 0.0214 0.5052 [1 per cell]
Li 0.3266 0.6724 0.4280 [1 per cell]
Li 0.6582 0.3044 0.9306 [1 per cell]
Co 0.1693 0.3473 0.7334 [1 per cell]
Co 0.3411 0.1730 0.2301 [1 per cell]
Co 0.8329 0.1755 0.2312 [1 per cell]
Cu 0.1748 0.8430 0.7275 [1 per cell]
Cu 0.6614 0.8383 0.7274 [1 per cell]
Cu 0.8331 0.6678 0.2289 [1 per cell]
Te 0.3296 0.6507 0.0047 [1 per cell]
Te 0.6656 0.3512 0.4987 [1 per cell]
O 0.0049 0.0214 0.8087 [1 per cell]
O 0.0100 0.0160 0.3164 [1 per cell]
O 0.0214 0.4851 0.8725 [1 per cell]
O 0.1612 0.3245 0.1189 [1 per cell]
O 0.1757 0.8407 0.1055 [1 per cell]
O 0.3258 0.6537 0.6396 [1 per cell]
O 0.3464 0.1920 0.6055 [1 per cell]
O 0.4514 0.4654 0.8722 [1 per cell]
O 0.4814 0.9391 0.8734 [1 per cell]
O 0.4862 0.4650 0.3636 [1 per cell]
O 0.5229 0.0443 0.3499 [1 per cell]
O 0.6595 0.3237 0.1356 [1 per cell]
O 0.6736 0.8321 0.1080 [1 per cell]
O 0.8347 0.6941 0.5989 [1 per cell]
O 0.8422 0.2031 0.6034 [1 per cell]
O 0.9604 0.4780 0.3613 [1 per cell]

Results
Total magnetization (μB per atom): 0.082
Crystal system: triclinic

No. 5
The following is a PBE with a Hubbard U calculation of LiCo5O8 after structural relaxation, from Materials Project.

Unit cell a=8.1138 b=8.1138 c=8.1138 alpha=90.00 beta=90.00 gamma=90.00
Space group P4_332 (No. 212)
Symmetry-distinct sites (fractional):
Li 0.1250 0.1250 0.1250 [4 per cell]
Co 0.0001 0.9999 0.4999 [8 per cell]
Co 0.1246 0.3750 0.3746 [12 per cell]
O 0.1068 0.8714 0.1090 [24 per cell]
O 0.1120 0.3880 0.6120 [8 per cell]

Results
Total magnetization (μB per atom): 0.571
Crystal system: cubic

No. 6
The following is a PBE with a Hubbard U calculation of MgFe8O14F2 after structural relaxation, from Materials Project.

Unit cell a=5.8179 b=7.2820 c=7.6543 alpha=85.67 beta=68.91 gamma=69.54
Space group P1 (No. 1)
Symmetry-distinct sites (fractional):
Mg 0.0000 0.0000 0.0000 [1 per cell]
Fe 0.2839 0.7351 0.7131 [1 per cell]
Fe 0.2878 0.2336 0.7023 [1 per cell]
Fe 0.4874 0.4909 0.9805 [1 per cell]
Fe 0.5447 0.9870 0.9529 [1 per cell]
Fe 0.6508 0.2918 0.2692 [1 per cell]
Fe 0.6696 0.7611 0.2669 [1 per cell]
Fe 0.9706 0.4989 0.4719 [1 per cell]
Fe 0.9721 0.0042 0.4998 [1 per cell]
O 0.0748 0.2321 0.5512 [1 per cell]
O 0.1654 0.6897 0.9696 [1 per cell]
O 0.3197 0.4501 0.2594 [1 per cell]
O 0.3285 0.8208 0.4698 [1 per cell]
O 0.3443 0.9736 0.8034 [1 per cell]
O 0.4105 0.2623 0.9061 [1 per cell]
O 0.5726 0.7321 0.0564 [1 per cell]
O 0.6143 0.5604 0.7042 [1 per cell]
O 0.6260 0.1804 0.5069 [1 per cell]
O 0.6393 0.0172 0.1699 [1 per cell]
O 0.7824 0.4920 0.3085 [1 per cell]
O 0.8081 0.3039 0.9983 [1 per cell]
O 0.8711 0.7769 0.4163 [1 per cell]
O 0.9122 0.9272 0.7692 [1 per cell]
F 0.0757 0.0658 0.2149 [1 per cell]
F 0.1516 0.5223 0.6592 [1 per cell]

Results
ΔE to the lowest computed polymorph (meV/atom): 27.3
Total magnetization (μB per atom): 1.441
Crystal system: triclinic

No. 7
The following is a PBE with a Hubbard U calculation of BaZnW4O8 after structural relaxation, from Materials Project.

Unit cell a=5.7617 b=5.7617 c=7.3195 alpha=90.00 beta=90.00 gamma=120.00
Space group P-31m (No. 162)
Symmetry-distinct sites (fractional):
Ba 0.0000 0.0000 0.0000 [1 per cell]
Zn 0.0000 0.0000 0.5000 [1 per cell]
W 0.3333 0.6667 0.2827 [4 per cell]
O 0.0000 0.2915 0.3141 [6 per cell]
O 0.3333 0.6667 0.0000 [2 per cell]

Results
Total magnetization (μB per atom): 0.857
Crystal system: trigonal

No. 8
The following is a PBE with a Hubbard U calculation of Ni2As2O7 after structural relaxation, from Materials Project.

Unit cell a=5.3701 b=7.6832 c=10.3254 alpha=72.45 beta=76.01 gamma=84.73
Space group P1 (No. 1)
Symmetry-distinct sites (fractional):
Ni 0.0000 0.0000 0.0000 [1 per cell]
Ni 0.1312 0.6010 0.2110 [1 per cell]
Ni 0.2831 0.7096 0.6593 [1 per cell]
Ni 0.4434 0.3332 0.8733 [1 per cell]
Ni 0.6348 0.3604 0.3344 [1 per cell]
Ni 0.7894 0.9475 0.5448 [1 per cell]
As 0.1920 0.1662 0.2273 [1 per cell]
As 0.2515 0.1366 0.6580 [1 per cell]
As 0.5481 0.7828 0.9011 [1 per cell]
As 0.5742 0.7962 0.3115 [1 per cell]
As 0.8596 0.5077 0.5628 [1 per cell]
As 0.8846 0.4143 0.9875 [1 per cell]
O 0.0075 0.6991 0.5568 [1 per cell]
O 0.0438 0.3308 0.6465 [1 per cell]
O 0.0870 0.9731 0.6336 [1 per cell]
O 0.1362 0.5123 0.8537 [1 per cell]
O 0.1655 0.2053 0.0556 [1 per cell]
O 0.2672 0.7842 0.0221 [1 per cell]
O 0.2906 0.1201 0.8222 [1 per cell]
O 0.3503 0.3400 0.2390 [1 per cell]
O 0.3918 0.9751 0.2239 [1 per cell]
O 0.4174 0.6100 0.3157 [1 per cell]
O 0.5211 0.8343 0.7296 [1 per cell]
O 0.5319 0.1844 0.5336 [1 per cell]
O 0.5499 0.8185 0.4738 [1 per cell]
O 0.5578 0.4769 0.6679 [1 per cell]
O 0.6035 0.5408 0.9350 [1 per cell]
O 0.7516 0.2238 0.9731 [1 per cell]
O 0.8059 0.8738 0.9141 [1 per cell]
O 0.8742 0.4678 0.1406 [1 per cell]
O 0.8752 0.4919 0.3989 [1 per cell]
O 0.8750 0.8320 0.2064 [1 per cell]
O 0.9059 0.1202 0.3440 [1 per cell]

Results
ΔE to the lowest computed polymorph (meV/atom): 0.0
Total magnetization (μB per atom): 0.364
Crystal system: triclinic

no.,energy of formation (eV/f.u.),total DFT energy (no corrections) (eV for the cell shown)
1,-20.95,-168.89
2,-31.31,-666.23
3,-19.26,-68.74
4,-42.17,-152.98
5,-19.13,-329.90
6,-40.22,-154.09
7,-18.42,-89.76
8,-16.95,-187.73